No. 1
# BaYMg6O8

BaYMg6O8 after structural relaxation (PBE, Materials Project).

Calculated values
The energy above the most stable polymorph in this dataset comes out at 66 meV per atom. The value obtained for the theoretical density is 3.93 g/cm³. Its energy of formation is -251.9 kJ/mol of atoms. The total energy comes out at -5.87 eV/atom. As for the energy with MP2020 corrections: -99.338 eV per cell.

Cell lengths 4.7525, 4.7525, 9.3438 Å; angles 90.00, 90.00, 90.00 degrees
Last column: nearest neighbours and their distance in Å.
Space group P4/mmm (No. 123)
Symmetry-distinct sites (fractional):
Ba 0.0000 0.0000 0.0000 (multiplicity 1)  6 O 2.38-2.52
Y 0.0000 0.0000 0.5000 (multiplicity 1)  6 O 2.15-2.38
Mg 0.0000 0.5000 0.2497 (multiplicity 4)  6 O 2.33-2.38
Mg 0.5000 0.5000 0.0000 (multiplicity 1)  6 O 2.34-2.38
Mg 0.5000 0.5000 0.5000 (multiplicity 1)  6 O 2.33-2.38
O 0.0000 0.0000 0.2696 (multiplicity 2)  1 Y 2.15, 4 Mg 2.38
O 0.0000 0.5000 0.0000 (multiplicity 2)  4 Mg 2.33-2.38, 2 Ba 2.38
O 0.0000 0.5000 0.5000 (multiplicity 2)  4 Mg 2.34-2.38, 2 Y 2.38
O 0.5000 0.5000 0.2502 (multiplicity 2)  6 Mg 2.33-2.38

No. 2
# MnGa6

MnGa6 after structural relaxation (PBE, Materials Project).

Calculated values
The value obtained for the theoretical density is 7.07 g/cm³. Its energy of formation is -2.8 kJ/mol of atoms. The total energy comes out at -3.93 eV/atom.

Cell lengths 7.6030, 6.5599, 8.9112 Å; angles 90.00, 90.00, 90.00 degrees
Last column: nearest neighbours and their distance in Å.
Space group Cmcm (No. 63)
Symmetry-distinct sites (fractional):
Mn 0.0000 0.0527 0.2500 (multiplicity 4)  10 Ga 2.47-2.68
Ga 0.0000 0.3683 0.0996 (multiplicity 8)  1 Mn 2.47, 2 Ga 2.48-2.68
Ga 0.1735 0.0000 0.0000 (multiplicity 8)  2 Mn 2.61, 9 Ga 2.64-2.89
Ga 0.1795 0.2789 0.7500 (multiplicity 8)  2 Mn 2.57-2.68, 1 Ga 2.73

No. 3
# CaTi2PbO6

CaTi2PbO6 after structural relaxation (PBE, Materials Project).

Calculated values
The energy above the most stable polymorph in this dataset comes out at 24 meV per atom. The value obtained for the theoretical density is 5.86 g/cm³. Its energy of formation is -299.9 kJ/mol of atoms. The total energy comes out at -7.82 eV/atom. As for the energy with MP2020 corrections: -82.283 eV per cell.

Cell lengths 3.9013, 3.9013, 8.1786 Å; angles 90.00, 90.00, 90.00 degrees
Last column: nearest neighbours and their distance in Å.
Space group P4mm (No. 99)
Symmetry-distinct sites (fractional):
Ca 0.0000 0.0000 0.0000 (multiplicity 1)  4 O 2.46
Ti 0.5000 0.5000 0.2202 (multiplicity 1)  5 O 1.84-1.97
Ti 0.5000 0.5000 0.7324 (multiplicity 1)  5 O 1.78-1.97
Pb 0.0000 0.0000 0.4901 (multiplicity 1)  8 O 2.61-2.78
O 0.0000 0.5000 0.1834 (multiplicity 2)  2 Ti 1.97
O 0.0000 0.5000 0.7025 (multiplicity 2)  2 Ti 1.97
O 0.5000 0.5000 0.4452 (multiplicity 1)  1 Ti 1.84
O 0.5000 0.5000 0.9502 (multiplicity 1)  1 Ti 1.78

No. 4
# RbBe3ZnF9

RbBe3ZnF9 after structural relaxation (PBE, Materials Project).

Calculated values
The value obtained for the theoretical density is 2.96 g/cm³. Its energy of formation is -319.5 kJ/mol of atoms. For the largest piezoelectric modulus, the calculation gives 0.1 C/m2. The total energy comes out at -5.21 eV/atom. As for the energy with MP2020 corrections: -154.112 eV per cell.

Cell lengths 6.7853, 6.7853, 9.8139 Å; angles 90.00, 90.00, 120.00 degrees
Last column: nearest neighbours and their distance in Å.
Space group P-6c2 (No. 188)
Symmetry-distinct sites (fractional):
Rb 0.0000 0.0000 0.0000 (multiplicity 2)  6 F 2.88
Be 0.0573 0.4573 0.2500 (multiplicity 6)  4 F 1.55-1.60
Zn 0.6667 0.3333 0.0000 (multiplicity 2)  6 F 2.06
F 0.1497 0.4266 0.7500 (multiplicity 6)  2 Be 1.59-1.60
F 0.4208 0.0794 0.1196 (multiplicity 12)  1 Be 1.55

No. 5
# NaSbS2

NaSbS2 after structural relaxation (PBE, Materials Project).

Calculated values
The value obtained for the theoretical density is 3.86 g/cm³. Its energy of formation is -85.2 kJ/mol of atoms. The total energy comes out at -4.06 eV/atom. As for the energy with MP2020 corrections: -69.026 eV per cell.

Cell lengths 5.5815, 5.5815, 11.5387 Å; angles 90.00, 90.00, 90.00 degrees
Last column: nearest neighbours and their distance in Å.
Space group I4_1/amd (No. 141, origin choice 2)
Symmetry-distinct sites (fractional):
Na 0.0000 0.2500 0.3750 (multiplicity 4)  6 S 2.79-3.01
Sb 0.0000 0.2500 0.8750 (multiplicity 4)  6 S 2.76-2.79
S 0.0000 0.2500 0.1140 (multiplicity 8)  3 Sb 2.76-2.79, 3 Na 2.79-3.01

No. 6
# Sr2Mg

Sr2Mg after structural relaxation (PBE, Materials Project).

Calculated values
The value obtained for the theoretical density is 2.55 g/cm³. Its energy of formation is 5.3 kJ/mol of atoms. The total energy comes out at -1.61 eV/atom.

Cell lengths 11.3519, 7.0892, 7.9350 Å; angles 90.00, 125.61, 90.00 degrees
Last column: nearest neighbours and their distance in Å.
Space group C2/c (No. 15)
Symmetry-distinct sites (fractional):
Sr 0.1716 0.1323 0.2285 (multiplicity 8)  4 Mg 3.64-3.94, 4 Sr 3.89-3.95
Mg 0.0000 0.4108 0.7500 (multiplicity 4)  8 Sr 3.64-3.94